A relaxed CsScBr3 crystal, computed with PBE.

## Properties
E (MP2020) ... -4.357 eV per atom
Calculated volume ... 168.39 Å³/f.u.
DFT total energy ... -4.037 eV per atom
ρ ... 4.118 g/cm³
Energy relative to the lowest polymorph listed for this composition ... 84 meV per atom

abc: 5.519 5.523 5.524
angles: 89.99 90.00 90.00
Positions (direct):
1 Br 0.000 0.003 0.488
2 Br 0.500 0.504 0.487
3 Br 0.000 0.499 0.986
4 Cs 0.500 0.999 0.994
5 Sc 0.000 0.503 0.485



A relaxed Cs2ScTlBr6 crystal, computed with PBE.

## Properties
E (MP2020) ... -3.971 eV per atom
Calculated volume ... 406.11 Å³/f.u.
DFT total energy ... -3.651 eV per atom
ρ ... 4.067 g/cm³

abc: 8.312 8.312 8.312
angles: 60.00 60.00 60.00
Positions (direct):
1 Br 0.773 0.227 0.773
2 Br 0.773 0.227 0.227
3 Br 0.773 0.773 0.227
4 Br 0.227 0.773 0.227
5 Br 0.227 0.773 0.773
6 Br 0.227 0.227 0.773
7 Tl 0.500 0.500 0.500
8 Sc 0.000 0.000 0.000
9 Cs 0.750 0.750 0.750
10 Cs 0.250 0.250 0.250



A relaxed CsSmBr3 crystal, computed with PBE.

## Properties
E (MP2020) ... -4.065 eV per atom
Calculated volume ... 195.15 Å³/f.u.
DFT total energy ... -3.744 eV per atom
ρ ... 4.450 g/cm³

abc: 8.013 8.362 11.650
angles: 90.00 90.00 90.00
Positions (direct):
1 Br 0.784 0.282 0.524
2 Br 0.284 0.218 0.024
3 Br 0.716 0.782 0.976
4 Br 0.552 0.500 0.250
5 Br 0.216 0.718 0.476
6 Br 0.716 0.782 0.524
7 Br 0.284 0.218 0.476
8 Br 0.052 0.000 0.750
9 Br 0.448 0.500 0.750
10 Br 0.784 0.282 0.976
11 Br 0.948 0.000 0.250
12 Br 0.216 0.718 0.024
13 Cs 0.971 0.555 0.750
14 Cs 0.471 0.945 0.250
15 Cs 0.529 0.055 0.750
16 Cs 0.029 0.445 0.250
17 Sm 0.500 0.500 0.000
18 Sm 0.500 0.500 0.500
19 Sm 0.000 0.000 0.000
20 Sm 0.000 0.000 0.500



A relaxed CsSnBr3 crystal, computed with PBE.

## Properties
E (MP2020) ... -3.519 eV per atom
Calculated volume ... 202.03 Å³/f.u.
DFT total energy ... -3.199 eV per atom
ρ ... 4.038 g/cm³

abc: 8.225 8.296 11.843
angles: 90.00 90.00 90.00
Positions (direct):
1 Br 0.706 0.706 0.025
2 Br 0.794 0.206 0.025
3 Br 0.294 0.294 0.975
4 Br 0.794 0.206 0.475
5 Br 0.952 0.493 0.750
6 Br 0.452 0.007 0.250
7 Br 0.206 0.794 0.525
8 Br 0.206 0.794 0.975
9 Br 0.548 0.993 0.750
10 Br 0.294 0.294 0.525
11 Br 0.048 0.507 0.250
12 Br 0.706 0.706 0.475
13 Sn 0.500 0.000 0.500
14 Sn 0.500 0.000 0.000
15 Sn 0.000 0.500 0.000
16 Sn 0.000 0.500 0.500
17 Cs 0.492 0.533 0.750
18 Cs 0.508 0.467 0.250
19 Cs 0.008 0.033 0.750
20 Cs 0.992 0.967 0.250



A relaxed CsSnBr3 crystal, computed with PBE.

## Properties
E (MP2020) ... -3.527 eV per atom
Calculated volume ... 203.92 Å³/f.u.
DFT total energy ... -3.206 eV per atom
ρ ... 4.001 g/cm³

abc: 5.886 5.886 5.886
angles: 90.00 90.00 90.00
Positions (direct):
1 Br 0.500 0.500 0.000
2 Br 0.500 0.000 0.500
3 Br 0.000 0.500 0.500
4 Cs 0.000 0.000 0.000
5 Sn 0.500 0.500 0.500



A relaxed CsSn2Br5 crystal, computed with PBE.

## Properties
E (MP2020) ... -3.536 eV per atom
Calculated volume ... 299.16 Å³/f.u.
DFT total energy ... -3.202 eV per atom
ρ ... 4.273 g/cm³

abc: 10.101 10.101 10.101
angles: 129.49 129.49 74.22
Positions (direct):
1 Cs 0.750 0.750 0.000
2 Cs 0.250 0.250 0.000
3 Br 0.216 0.716 0.182
4 Br 0.035 0.216 0.500
5 Br 0.284 0.465 0.500
6 Br 0.716 0.535 0.500
7 Br 0.535 0.035 0.818
8 Br 0.500 0.500 0.000
9 Br 0.000 0.000 0.000
10 Br 0.465 0.965 0.182
11 Br 0.965 0.784 0.500
12 Br 0.784 0.284 0.818
13 Sn 0.185 0.685 0.870
14 Sn 0.815 0.315 0.130
15 Sn 0.685 0.815 0.500
16 Sn 0.315 0.185 0.500



A relaxed CsSrBr3 crystal, computed with PBE.

## Properties
E (MP2020) ... -3.850 eV per atom
Calculated volume ... 211.22 Å³/f.u.
DFT total energy ... -3.529 eV per atom
ρ ... 3.618 g/cm³

abc: 8.254 8.619 11.876
angles: 90.00 90.00 90.00
Positions (direct):
1 Br 0.916 0.023 0.250
2 Br 0.584 0.523 0.250
3 Br 0.297 0.207 0.457
4 Br 0.203 0.707 0.043
5 Br 0.297 0.207 0.043
6 Br 0.703 0.793 0.543
7 Br 0.703 0.793 0.957
8 Br 0.084 0.977 0.750
9 Br 0.203 0.707 0.457
10 Br 0.797 0.293 0.957
11 Br 0.416 0.477 0.750
12 Br 0.797 0.293 0.543
13 Sr 0.000 0.000 0.000
14 Sr 0.000 0.000 0.500
15 Sr 0.500 0.500 0.000
16 Sr 0.500 0.500 0.500
17 Cs 0.020 0.437 0.250
18 Cs 0.480 0.937 0.250
19 Cs 0.520 0.063 0.750
20 Cs 0.980 0.563 0.750



A relaxed CsSrBr3 crystal, computed with PBE.

## Properties
E (MP2020) ... -3.830 eV per atom
Calculated volume ... 220.23 Å³/f.u.
DFT total energy ... -3.510 eV per atom
ρ ... 3.470 g/cm³

abc: 6.041 6.041 6.034
angles: 89.99 89.99 89.97
Positions (direct):
1 Br 0.495 0.996 0.486
2 Br 0.508 0.508 0.984
3 Br 0.996 0.495 0.486
4 Cs 0.996 0.996 0.997
5 Sr 0.495 0.495 0.484



A relaxed CsSrBr3 crystal, computed with PBE.

## Properties
E (MP2020) ... -3.844 eV per atom
Calculated volume ... 206.04 Å³/f.u.
DFT total energy ... -3.524 eV per atom
ρ ... 3.709 g/cm³

abc: 8.101 8.101 11.517
angles: 90.00 90.00 146.96
Positions (direct):
1 Br 0.067 0.933 0.750
2 Br 0.630 0.370 0.452
3 Br 0.933 0.067 0.250
4 Br 0.630 0.370 0.048
5 Br 0.370 0.630 0.952
6 Br 0.370 0.630 0.548
7 Sr 0.000 0.000 0.500
8 Sr 0.000 0.000 0.000
9 Cs 0.747 0.253 0.750
10 Cs 0.253 0.747 0.250